Entry 1:
# SrPbS2

Crystalline SrPbS2 at its relaxed geometry (PBE, Materials Project).

Lattice parameters (Å, degrees): 7.4168 7.4168 7.4168 33.52 33.52 33.52
Last column: nearest neighbours and their distance in Å.
Positions (direct):
Sr (0.5000, 0.5000, 0.5000)  6 S 3.01
S (0.7509, 0.7509, 0.7509)  3 Sr 3.01, 3 Pb 3.04
S (0.2491, 0.2491, 0.2491)  3 Sr 3.01, 3 Pb 3.04
Pb (0.0000, 0.0000, 0.0000)  6 S 3.04



Entry 2:
# La2Br2O

Crystalline La2Br2O at its relaxed geometry (PBE, Materials Project).

Lattice parameters (Å, degrees): 4.6071 4.6071 13.8640 90.00 90.00 90.00
Last column: nearest neighbours and their distance in Å.
Positions (direct):
La (0.5000, 0.5000, 0.8478)  1 O 2.11
La (0.5000, 0.5000, 0.1522)  1 O 2.11
O (0.5000, 0.5000, 0.0000)  2 La 2.11
Br (0.5000, 0.5000, 0.6504)  1 La 2.74
Br (0.5000, 0.5000, 0.3496)  1 La 2.74



Entry 3:
# Rb3P11

Crystalline Rb3P11 at its relaxed geometry (PBE, Materials Project).

As for the energy above the most stable polymorph in this dataset: 0 meV per atom.

Lattice parameters (Å, degrees): 11.0719 11.2680 14.3665 90.00 90.00 90.00
Last column: nearest neighbours and their distance in Å.
Positions (direct):
Rb (0.7500, 0.5000, 0.7819)  7 P 3.44-3.81
Rb (0.9292, 0.2322, 0.0047)  7 P 3.48-3.82
Rb (0.7500, 0.0000, 0.2819)  7 P 3.44-3.81
Rb (0.0708, 0.7678, 0.9953)  7 P 3.48-3.82
Rb (0.4292, 0.2678, 0.4953)  7 P 3.48-3.82
Rb (0.4292, 0.2322, 0.9953)  7 P 3.48-3.82
Rb (0.5708, 0.7322, 0.5047)  7 P 3.48-3.82
Rb (0.2500, 0.0000, 0.7181)  7 P 3.44-3.81
Rb (0.9292, 0.2678, 0.5047)  7 P 3.48-3.82
Rb (0.0708, 0.7322, 0.4953)  7 P 3.48-3.82
Rb (0.2500, 0.5000, 0.2181)  7 P 3.44-3.81
Rb (0.5708, 0.7678, 0.0047)  7 P 3.48-3.82
P (0.4258, 0.4105, 0.7940)  3 P 2.17-2.27
P (0.8771, 0.9268, 0.6264)  3 P 2.18-2.27
P (0.7500, 0.0000, 0.5256)  2 P 2.18
P (0.0179, 0.5141, 0.6617)  2 P 2.17
P (0.1229, 0.0732, 0.3736)  3 P 2.18-2.27
P (0.2500, 0.5000, 0.9744)  2 P 2.18
P (0.4821, 0.4859, 0.6617)  2 P 2.17
P (0.4258, 0.0895, 0.2940)  3 P 2.17-2.27
P (0.6869, 0.0772, 0.8668)  3 P 2.17-2.27
P (0.1869, 0.0772, 0.1332)  3 P 2.17-2.27
P (0.8131, 0.5772, 0.3668)  3 P 2.17-2.27
P (0.7600, 0.8316, 0.7320)  3 P 2.27
P (0.9258, 0.4105, 0.2060)  3 P 2.17-2.27
P (0.3771, 0.5732, 0.8736)  3 P 2.18-2.27
P (0.1229, 0.4268, 0.8736)  3 P 2.18-2.27
P (0.0179, 0.9859, 0.1617)  2 P 2.17
P (0.6229, 0.4268, 0.1264)  3 P 2.18-2.27
P (0.2400, 0.1684, 0.2680)  3 P 2.27
P (0.9258, 0.0895, 0.7060)  3 P 2.17-2.27
P (0.0742, 0.5895, 0.7940)  3 P 2.17-2.27
P (0.2400, 0.3316, 0.7680)  3 P 2.27
P (0.5179, 0.9859, 0.8383)  2 P 2.17
P (0.1869, 0.4228, 0.6332)  3 P 2.17-2.27
P (0.5179, 0.5141, 0.3383)  2 P 2.17
P (0.9821, 0.0141, 0.8383)  2 P 2.17
P (0.7600, 0.6684, 0.2320)  3 P 2.27
P (0.6229, 0.0732, 0.6264)  3 P 2.18-2.27
P (0.8771, 0.5732, 0.1264)  3 P 2.18-2.27
P (0.0742, 0.9105, 0.2940)  3 P 2.17-2.27
P (0.2600, 0.8316, 0.2680)  3 P 2.27
P (0.4821, 0.0141, 0.1617)  2 P 2.17
P (0.2500, 0.0000, 0.4744)  2 P 2.18
P (0.3131, 0.9228, 0.1332)  3 P 2.17-2.27
P (0.5742, 0.9105, 0.7060)  3 P 2.17-2.27
P (0.3131, 0.5772, 0.6332)  3 P 2.17-2.27
P (0.9821, 0.4859, 0.3383)  2 P 2.17
P (0.8131, 0.9228, 0.8668)  3 P 2.17-2.27
P (0.7400, 0.3316, 0.2320)  3 P 2.27
P (0.2600, 0.6684, 0.7680)  3 P 2.27
P (0.7500, 0.5000, 0.0256)  2 P 2.18
P (0.6869, 0.4228, 0.3668)  3 P 2.17-2.27
P (0.7400, 0.1684, 0.7320)  3 P 2.27
P (0.3771, 0.9268, 0.3736)  3 P 2.18-2.27
P (0.5742, 0.5895, 0.2060)  3 P 2.17-2.27



Entry 4:
# NaTiS2

Crystalline NaTiS2 at its relaxed geometry (PBE, Materials Project).

Lattice parameters (Å, degrees): 7.0006 7.0006 7.0006 29.60 29.60 29.60
Last column: nearest neighbours and their distance in Å.
Positions (direct):
S (0.7370, 0.7370, 0.7370)  3 Ti 2.50
S (0.2630, 0.2630, 0.2630)  3 Ti 2.50
Ti (0.0000, 0.0000, 0.0000)  6 S 2.50
Na (0.5000, 0.5000, 0.5000)  6 S 2.83



Entry 5:
# GaNCl4

Crystalline GaNCl4 at its relaxed geometry (PBE, Materials Project).

Lattice parameters (Å, degrees): 7.2439 9.6037 11.3081 90.00 90.00 90.00
Last column: nearest neighbours and their distance in Å.
Positions (direct):
Cl (0.2500, 0.4247, 0.8984)  1 Ga 2.19
Cl (0.5051, 0.8251, 0.9236)  1 Ga 2.21
Cl (0.2500, 0.0753, 0.3984)  1 Ga 2.19
Cl (0.7500, 0.9498, 0.2788)  1 Ga 2.20
Cl (0.2500, 0.4498, 0.2212)  1 Ga 2.20
Cl (0.2500, 0.0502, 0.7212)  1 Ga 2.20
Cl (0.0051, 0.1749, 0.0764)  1 Ga 2.21
Cl (0.7500, 0.5502, 0.7788)  1 Ga 2.20
Cl (0.9949, 0.8251, 0.9236)  1 Ga 2.21
Cl (0.4949, 0.1749, 0.0764)  1 Ga 2.21
Cl (0.9949, 0.6749, 0.4236)  1 Ga 2.21
Cl (0.0051, 0.3251, 0.5764)  1 Ga 2.21
Cl (0.5051, 0.6749, 0.4236)  1 Ga 2.21
Cl (0.7500, 0.9247, 0.6016)  1 Ga 2.19
Cl (0.4949, 0.3251, 0.5764)  1 Ga 2.21
Cl (0.7500, 0.5753, 0.1016)  1 Ga 2.19
Ga (0.2500, 0.3113, 0.0662)  4 Cl 2.19-2.21
Ga (0.7500, 0.6887, 0.9338)  4 Cl 2.19-2.21
Ga (0.7500, 0.8113, 0.4338)  4 Cl 2.19-2.21
Ga (0.2500, 0.1887, 0.5662)  4 Cl 2.19-2.21
N (0.7500, 0.1760, 0.8160)  6 Cl 3.42-3.62
N (0.7500, 0.3240, 0.3160)  6 Cl 3.42-3.62
N (0.2500, 0.6760, 0.6840)  6 Cl 3.42-3.62
N (0.2500, 0.8240, 0.1840)  6 Cl 3.42-3.62



Entry 6:
# LiSn2S3O12

Crystalline LiSn2S3O12 at its relaxed geometry (PBE, Materials Project).

As for the energy above the most stable polymorph in this dataset: 0 meV per atom.

Lattice parameters (Å, degrees): 9.4252 8.9415 15.6236 55.68 90.00 90.00
Last column: nearest neighbours and their distance in Å.
Positions (direct):
O (0.1263, 0.1696, 0.3802)  1 S 1.50
O (0.6948, 0.5384, 0.9035)  1 S 1.50
O (0.3980, 0.8689, 0.6923)  1 S 1.49
O (0.7297, 0.7573, 0.4397)  1 S 1.49
O (0.3842, 0.4952, 0.9364)  1 S 1.50
O (0.2804, 0.6818, 0.1890)  1 S 1.50
O (0.6089, 0.1576, 0.4541)  1 S 1.48
O (0.6263, 0.8304, 0.1198)  1 S 1.50
O (0.7196, 0.3182, 0.8110)  1 S 1.50
O (0.8614, 0.4527, 0.0445)  1 S 1.48
O (0.6020, 0.1311, 0.3077)  1 S 1.49
O (0.0867, 0.8481, 0.4513)  1 S 1.49
O (0.1020, 0.8689, 0.1923)  1 S 1.49
O (0.0293, 0.5864, 0.2125)  1 S 1.50
O (0.9707, 0.4136, 0.7875)  1 S 1.50
O (0.2345, 0.0299, 0.3006)  1 S 1.49
O (0.8842, 0.5048, 0.5636)  1 S 1.50
O (0.9776, 0.0806, 0.2873)  1 S 1.49
O (0.3911, 0.8424, 0.5459)  1 S 1.48
O (0.2297, 0.2427, 0.0603)  1 S 1.49
O (0.8980, 0.1311, 0.8077)  1 S 1.49
O (0.2196, 0.6818, 0.6890)  1 S 1.50
O (0.3614, 0.5473, 0.4555)  1 S 1.48
O (0.5293, 0.4136, 0.2875)  1 S 1.50
O (0.0224, 0.9194, 0.7127)  1 S 1.49
O (0.6158, 0.5048, 0.0636)  1 S 1.50
O (0.4776, 0.9194, 0.2127)  1 S 1.49
O (0.7804, 0.3182, 0.3110)  1 S 1.50
O (0.2703, 0.2427, 0.5603)  1 S 1.49
O (0.1089, 0.8424, 0.0459)  1 S 1.48
O (0.1158, 0.4952, 0.4364)  1 S 1.50
O (0.1948, 0.4616, 0.5965)  1 S 1.50
O (0.1386, 0.5473, 0.9555)  1 S 1.48
O (0.7703, 0.7573, 0.9397)  1 S 1.49
O (0.2655, 0.0299, 0.8006)  1 S 1.49
O (0.8737, 0.8304, 0.6198)  1 S 1.50
O (0.8911, 0.1576, 0.9541)  1 S 1.48
O (0.3737, 0.1696, 0.8802)  1 S 1.50
O (0.4133, 0.8481, 0.9513)  1 S 1.49
O (0.4707, 0.5864, 0.7125)  1 S 1.50
O (0.6386, 0.4527, 0.5445)  1 S 1.48
O (0.3052, 0.4616, 0.0965)  1 S 1.50
O (0.9133, 0.1519, 0.5487)  1 S 1.49
O (0.5224, 0.0806, 0.7873)  1 S 1.49
O (0.8052, 0.5384, 0.4035)  1 S 1.50
O (0.7655, 0.9701, 0.6994)  1 S 1.49
O (0.5867, 0.1519, 0.0487)  1 S 1.49
O (0.7345, 0.9701, 0.1994)  1 S 1.49
S (0.7352, 0.5631, 0.9877)  4 O 1.48-1.50
S (0.3709, 0.7440, 0.6596)  4 O 1.48-1.50
S (0.3951, 0.0332, 0.8544)  4 O 1.49-1.50
S (0.1291, 0.7440, 0.1596)  4 O 1.48-1.50
S (0.6049, 0.9668, 0.1456)  4 O 1.49-1.50
S (0.7648, 0.5631, 0.4877)  4 O 1.48-1.50
S (0.8951, 0.9668, 0.6456)  4 O 1.49-1.50
S (0.1049, 0.0332, 0.3544)  4 O 1.49-1.50
S (0.2352, 0.4369, 0.5123)  4 O 1.48-1.50
S (0.8709, 0.2560, 0.8404)  4 O 1.48-1.50
S (0.2648, 0.4369, 0.0123)  4 O 1.48-1.50
S (0.6291, 0.2560, 0.3404)  4 O 1.48-1.50
Sn (0.4678, 0.6285, 0.1184)  6 O 2.23-2.35
Sn (0.5322, 0.3715, 0.8816)  6 O 2.23-2.35
Sn (0.0437, 0.8350, 0.9037)  4 O 2.34-2.61
Sn (0.9563, 0.1650, 0.0963)  4 O 2.34-2.61
Sn (0.5437, 0.1650, 0.5963)  4 O 2.34-2.61
Sn (0.4563, 0.8350, 0.4037)  4 O 2.34-2.61
Sn (0.0322, 0.6285, 0.6184)  6 O 2.23-2.35
Sn (0.9678, 0.3715, 0.3816)  6 O 2.23-2.35
Li (0.2786, 0.0066, 0.1838)  4 O 1.95-2.03
Li (0.2214, 0.0066, 0.6838)  4 O 1.95-2.03
Li (0.7786, 0.9934, 0.3162)  4 O 1.95-2.03
Li (0.7214, 0.9934, 0.8162)  4 O 1.95-2.03



no.,formation enthalpy at 0 K (meV per atom),theoretical density (g/cm3)
1,-1580,5.38
2,-1501,2.56
3,-319,2.21
4,-1597,3.03
5,-132,1.90
6,-1868,3.25